MgTe2Mo2W2Se4S2 | the Materials Project database | PBE | relaxed; energy = -83.78 eV/cell; ΔE_f = -0.541 eV per atom; distance to the lowest polymorph of the same formula = 0.064 eV per formula unit; space group = P3m1 (156)
1.0
3.3382 0.0000 0.0000
-1.6691 2.8910 0.0000
0.0000 0.0000 45.1823
Mg Te Mo W Se S
1 2 2 2 4 2
Direct
0.0000 0.0000 0.0000 Mg
0.6667 0.3333 0.6782 Te
0.6667 0.3333 0.7622 Te
0.3333 0.6667 0.7202 Mo
0.6667 0.3333 0.9028 Mo
0.3333 0.6667 0.1046 W
0.6667 0.3333 0.2845 W
0.3333 0.6667 0.2473 Se
0.3333 0.6667 0.3216 Se
0.3333 0.6667 0.8661 Se
0.3333 0.6667 0.9404 Se
0.6667 0.3333 0.0709 S
0.6667 0.3333 0.1382 S

LuInO6 | the Materials Project database | PBE | relaxed; energy = -92.55 eV/cell; ΔE_f = -1.285 eV per atom; space group = C2/m (12)
1.0
5.1574 -3.7069 0.0000
5.1574 3.7069 0.0000
-5.1303 0.0000 5.3136
Lu In O
2 2 12
Direct
0.0000 0.5000 0.0000 Lu
0.5000 0.0000 0.0000 Lu
0.0000 0.5000 0.5000 In
0.5000 0.0000 0.5000 In
0.0967 0.8974 0.8157 O
0.1026 0.9033 0.1843 O
0.2201 0.5822 0.3971 O
0.3099 0.3099 0.9054 O
0.3313 0.3313 0.7275 O
0.4178 0.7799 0.6029 O
0.5822 0.2201 0.3971 O
0.6687 0.6687 0.2725 O
0.6901 0.6901 0.0946 O
0.7799 0.4178 0.6029 O
0.8974 0.0967 0.8157 O
0.9033 0.1026 0.1843 O

Na2Nb5In3Si6S6O48 | the Materials Project database | PBE | relaxed; energy = -1496.07 eV/cell; ΔE_f = -2.506 eV per atom; space group = P1 (1)
1.0
8.9186 0.0000 0.0000
0.0678 15.4585 0.0000
0.0196 0.0627 23.1979
Na Nb In Si S O
6 15 9 18 18 144
Direct
0.0000 0.0000 0.0000 Na
0.0013 0.3402 0.3401 Na
0.4792 0.8398 0.8450 Na
0.4832 0.8375 0.3391 Na
0.4904 0.5052 0.5001 Na
0.9920 0.3318 0.8380 Na
0.9997 0.6772 0.0266 Nb
0.0069 0.6695 0.3142 Nb
0.4711 0.1675 0.8078 Nb
0.4818 0.1713 0.3088 Nb
0.4818 0.5025 0.1443 Nb
0.4831 0.1749 0.0213 Nb
0.4846 0.1675 0.5195 Nb
0.4852 0.8294 0.1838 Nb
0.4886 0.4980 0.8639 Nb
0.5024 0.8380 0.6883 Nb
0.9760 0.0076 0.6492 Nb
0.9774 0.3309 0.1920 Nb
0.9778 0.3447 0.6918 Nb
0.9847 0.0106 0.3648 Nb
0.9904 0.6706 0.5247 Nb
0.4673 0.5079 0.3528 In
0.4731 0.8362 0.9803 In
0.4907 0.8398 0.4784 In
0.4984 0.4999 0.6495 In
0.9815 0.0029 0.1516 In
0.9856 0.3378 0.9821 In
0.9915 0.3445 0.4787 In
0.9906 0.6744 0.8153 In
0.9919 0.0094 0.8543 In
0.1263 0.1498 0.7494 Si
0.1332 0.8139 0.4190 Si
0.1361 0.5258 0.4196 Si
0.1947 0.8457 0.0841 Si
0.2001 0.1752 0.4163 Si
0.2760 0.6733 0.9157 Si
0.3349 0.3098 0.9167 Si
0.3416 0.3617 0.2502 Si
0.3427 0.0256 0.9178 Si
0.3478 0.6486 0.2504 Si
0.6244 0.0273 0.4154 Si
0.6251 0.3606 0.7539 Si
0.6343 0.6907 0.0814 Si
0.6994 0.3366 0.0829 Si
0.7008 0.0045 0.7555 Si
0.7814 0.8388 0.5813 Si
0.8378 0.4825 0.5815 Si
0.8428 0.1435 0.2524 Si
0.1304 0.4823 0.0851 S
0.1333 0.1927 0.0849 S
0.1345 0.8590 0.7486 S
0.2003 0.5054 0.7512 S
0.2792 0.0027 0.2523 S
0.2794 0.3366 0.5844 S
0.3405 0.9832 0.5854 S
0.3433 0.6929 0.5852 S
0.6282 0.3134 0.4172 S
0.6308 0.9838 0.0836 S
0.6329 0.6503 0.7531 S
0.7043 0.6683 0.4171 S
0.7709 0.1710 0.9181 S
0.7765 0.5056 0.2510 S
0.8388 0.8583 0.2539 S
0.8414 0.1945 0.5850 S
0.8432 0.5273 0.9176 S
0.8434 0.8161 0.9191 S
0.0460 0.1172 0.8065 O
0.0497 0.4351 0.4164 O
0.0536 0.7690 0.4748 O
0.0541 0.9069 0.4018 O
0.0600 0.5691 0.0777 O
0.0622 0.2476 0.7334 O
0.0630 0.7732 0.7520 O
0.0638 0.4408 0.1361 O
0.0646 0.5777 0.3613 O
0.0682 0.9043 0.6976 O
0.0690 0.2309 0.0324 O
0.0699 0.1062 0.0917 O
0.0789 0.9239 0.0934 O
0.0884 0.2545 0.4238 O
0.0881 0.5899 0.4737 O
0.0916 0.7537 0.3612 O
0.0943 0.0873 0.6933 O
0.0939 0.5778 0.7581 O
0.0945 0.7540 0.0758 O
0.1039 0.2480 0.1367 O
0.1065 0.4230 0.7450 O
0.1080 0.0840 0.4085 O
0.1162 0.4311 0.0322 O
0.1216 0.9088 0.8014 O
0.1573 0.3272 0.9224 O
0.1604 0.0198 0.9168 O
0.1615 0.3482 0.2342 O
0.1632 0.6563 0.9726 O
0.1633 0.6610 0.2591 O
0.1772 0.6877 0.5796 O
0.1786 0.6861 0.8583 O
0.1800 0.9961 0.5968 O
0.1845 0.9883 0.3033 O
0.1855 0.3216 0.6362 O
0.1909 0.3483 0.5318 O
0.1934 0.0195 0.1994 O
0.2864 0.5194 0.6982 O
0.2872 0.8614 0.0276 O
0.2949 0.4904 0.8024 O
0.2948 0.4949 0.0934 O
0.2999 0.1869 0.0789 O
0.2999 0.8473 0.7367 O
0.3068 0.8262 0.1411 O
0.3075 0.1602 0.7560 O
0.3105 0.1846 0.3614 O
0.3123 0.1602 0.4745 O
0.3120 0.8217 0.4221 O
0.3168 0.5221 0.4209 O
0.3552 0.4143 0.3089 O
0.3591 0.9324 0.5334 O
0.3733 0.4145 0.5903 O
0.3737 0.7485 0.6372 O
0.3756 0.0809 0.2605 O
0.3774 0.5829 0.9034 O
0.3783 0.5880 0.1946 O
0.3787 0.2540 0.8608 O
0.3795 0.2582 0.5760 O
0.3814 0.9269 0.2454 O
0.3864 0.0903 0.9744 O
0.3910 0.7512 0.9191 O
0.4044 0.6051 0.5940 O
0.4104 0.7299 0.5333 O
0.4115 0.0792 0.8615 O
0.4123 0.9409 0.6369 O
0.4127 0.2644 0.2604 O
0.4137 0.0707 0.5780 O
0.4139 0.7488 0.2392 O
0.4151 0.2696 0.9753 O
0.4173 0.4064 0.9074 O
0.4173 0.4079 0.1941 O
0.4278 0.6196 0.3087 O
0.4330 0.9356 0.9192 O
0.5533 0.3951 0.6958 O
0.5543 0.9334 0.4185 O
0.5571 0.7333 0.0276 O
0.5575 0.0819 0.3618 O
0.5586 0.0705 0.0768 O
0.5588 0.7402 0.7448 O
0.5599 0.4000 0.4154 O
0.5622 0.6122 0.8036 O
0.5627 0.2694 0.4712 O
0.5643 0.9424 0.1367 O
0.5652 0.5975 0.1011 O
0.5705 0.2645 0.7689 O
0.5862 0.9207 0.7373 O
0.5923 0.4192 0.0996 O
0.5944 0.2620 0.3656 O
0.5950 0.0881 0.7604 O
0.5955 0.0891 0.4748 O
0.5956 0.2502 0.0735 O
0.6008 0.4274 0.8083 O
0.6040 0.7548 0.1405 O
0.6074 0.7458 0.4208 O
0.6090 0.9304 0.0323 O
0.6097 0.6026 0.6993 O
0.6152 0.5881 0.4137 O
0.6603 0.5007 0.5879 O
0.6650 0.8254 0.6400 O
0.6671 0.1627 0.2665 O
0.6718 0.8526 0.2464 O
0.6728 0.8607 0.5296 O
0.6740 0.5211 0.9107 O
0.6759 0.1631 0.9718 O
0.6764 0.1845 0.5778 O
0.6801 0.1818 0.8663 O
0.6819 0.8255 0.9256 O
0.6829 0.5176 0.1996 O
0.6924 0.4844 0.3037 O
0.7916 0.3163 0.4224 O
0.7937 0.9957 0.0905 O
0.7954 0.6648 0.7605 O
0.7973 0.3579 0.0273 O
0.7967 0.6601 0.4707 O
0.7982 0.6801 0.3647 O
0.7978 0.9747 0.8092 O
0.8076 0.0153 0.6965 O
0.8081 0.0219 0.4083 O
0.8132 0.3246 0.1400 O
0.8146 0.3515 0.7434 O
0.8159 0.6782 0.0710 O
0.8615 0.4192 0.5283 O
0.8634 0.0914 0.9180 O
0.8635 0.0935 0.1934 O
0.8657 0.7653 0.8652 O
0.8675 0.2490 0.9225 O
0.8689 0.5789 0.9688 O
0.8690 0.9151 0.3035 O
0.8702 0.2485 0.6368 O
0.8717 0.5826 0.2584 O
0.8814 0.4282 0.2410 O
0.8822 0.7524 0.5750 O
0.8890 0.9202 0.6002 O
0.8987 0.7697 0.2640 O
0.9029 0.5646 0.8634 O
0.9049 0.4388 0.9213 O
0.9057 0.1052 0.5954 O
0.9083 0.8901 0.2003 O
0.9102 0.7680 0.9701 O
0.9120 0.2272 0.5328 O
0.9175 0.4332 0.6397 O
0.9176 0.2433 0.2437 O
0.9207 0.8999 0.9169 O
0.9228 0.5765 0.5731 O
0.9255 0.0987 0.3080 O

Ti2CoRe | the Materials Project database | PBE | relaxed; energy = -37.12 eV/cell; ΔE_f = -0.443 eV per atom; space group = Fm-3m (225)
1.0
0.0000 3.0563 3.0563
3.0563 0.0000 3.0563
3.0563 3.0563 0.0000
Ti Co Re
2 1 1
Direct
0.2500 0.2500 0.2500 Ti
0.7500 0.7500 0.7500 Ti
0.0000 0.0000 0.0000 Co
0.5000 0.5000 0.5000 Re

PrTl | the Materials Project database | PBE | relaxed; energy = -7.93 eV/cell; ΔE_f = -0.394 eV per atom; space group = Pm-3m (221)
1.0
3.9415 0.0000 0.0000
0.0000 3.9415 0.0000
0.0000 0.0000 3.9415
Pr Tl
1 1
Direct
0.0000 0.0000 0.0000 Pr
0.5000 0.5000 0.5000 Tl

CaScAlSiO6 | the Materials Project database | PBE | relaxed; energy = -157.82 eV/cell; ΔE_f = -3.583 eV per atom; space group = C2 (5)
1.0
5.0160 -4.5492 0.0000
5.0160 4.5492 0.0000
-1.5358 0.0000 5.3052
Ca Sc Al Si O
2 2 2 2 12
Direct
0.0000 0.0000 0.0000 Ca
0.6202 0.3798 0.5000 Ca
0.2099 0.7901 0.5000 Sc
0.4055 0.5945 0.0000 Sc
0.5038 0.0725 0.9803 Al
0.9275 0.4962 0.0197 Al
0.1057 0.3088 0.5164 Si
0.6912 0.8943 0.4836 Si
0.1101 0.6790 0.1195 O
0.1955 0.0787 0.4258 O
0.2762 0.4816 0.6036 O
0.3210 0.8899 0.8805 O
0.4215 0.3203 0.0889 O
0.5184 0.7238 0.3964 O
0.6448 0.0616 0.7355 O
0.6797 0.5785 0.9111 O
0.6843 0.0201 0.2544 O
0.9213 0.8045 0.5742 O
0.9384 0.3552 0.2645 O
0.9799 0.3157 0.7456 O

K2LiAlH6 | the Materials Project database | PBE | relaxed; energy = -30.83 eV/cell; ΔE_f = -0.367 eV per atom; space group = Fm-3m (225)
1.0
0.0000 3.9091 3.9091
3.9091 0.0000 3.9091
3.9091 3.9091 0.0000
K Li Al H
2 1 1 6
Direct
0.2500 0.2500 0.2500 K
0.7500 0.7500 0.7500 K
0.0000 0.0000 0.0000 Li
0.5000 0.5000 0.5000 Al
0.2711 0.2711 0.7289 H
0.2711 0.7289 0.2711 H
0.2711 0.7289 0.7289 H
0.7289 0.2711 0.2711 H
0.7289 0.2711 0.7289 H
0.7289 0.7289 0.2711 H

Ba3Nd3Cu6O14 | the Materials Project database | PBE | relaxed; energy = -162.37 eV/cell; ΔE_f = -2.233 eV per atom; space group = Fmm2 (42)
1.0
0.0000 3.9715 11.6614
3.8691 0.0000 11.6614
3.8691 3.9715 0.0000
Ba Nd Cu O
3 3 6 14
Direct
0.0000 0.0000 0.0000 Ba
0.1809 0.1809 0.8191 Ba
0.6788 0.6788 0.3212 Ba
0.3404 0.3404 0.6596 Nd
0.4963 0.4963 0.5037 Nd
0.8412 0.8412 0.1588 Nd
0.0875 0.0875 0.4125 Cu
0.2659 0.2659 0.2341 Cu
0.4154 0.4154 0.0846 Cu
0.5875 0.5875 0.9125 Cu
0.7659 0.7659 0.7341 Cu
0.9154 0.9154 0.5846 Cu
0.0077 0.0077 0.4923 O
0.0257 0.5271 0.9743 O
0.0273 0.5309 0.4691 O
0.1648 0.6548 0.8352 O
0.1679 0.1679 0.3321 O
0.1699 0.6510 0.3490 O
0.3679 0.7920 0.6321 O
0.5077 0.5077 0.9923 O
0.5271 0.0257 0.4729 O
0.5309 0.0273 0.9727 O
0.6510 0.1699 0.8301 O
0.6548 0.1648 0.3452 O
0.6679 0.6679 0.8321 O
0.7920 0.3679 0.2080 O

- Which of these has the highest ΔE_f?
  K2LiAlH6